The following is a GGA-PBE calculation of a geometry-optimized LaGa4Os structure, from the Materials Project database.

Computed properties:
Final energy   -5.19 eV/atom
Crystal system   orthorhombic
E_form   -0.474 eV per atom

a = 7.761 Å, b = 8.912 Å, c = 9.791 Å
α = 90.00°, β = 90.00°, γ = 90.00°
Element x y z (fractional)
1 La 0.322 0.500 0.750
2 La 0.161 0.751 0.250
3 La 0.839 0.249 0.750
4 La 0.678 0.500 0.250
5 La 0.161 0.249 0.250
6 La 0.839 0.751 0.750
7 Os 0.500 0.742 0.500
8 Os 0.500 0.258 0.500
9 Os 0.000 0.000 0.500
10 Os 0.500 0.742 0.000
11 Os 0.000 0.000 0.000
12 Os 0.500 0.258 0.000
13 Ga 0.548 0.156 0.250
14 Ga 0.662 0.000 0.940
15 Ga 0.662 0.000 0.560
16 Ga 0.452 0.156 0.750
17 Ga 0.130 0.000 0.750
18 Ga 0.656 0.500 0.585
19 Ga 0.870 0.000 0.250
20 Ga 0.821 0.236 0.075
21 Ga 0.821 0.236 0.425
22 Ga 0.179 0.764 0.925
23 Ga 0.338 0.000 0.440
24 Ga 0.344 0.500 0.085
25 Ga 0.821 0.764 0.075
26 Ga 0.821 0.764 0.425
27 Ga 0.000 0.500 0.500
28 Ga 0.656 0.500 0.915
29 Ga 0.179 0.236 0.575
30 Ga 0.179 0.764 0.575
31 Ga 0.179 0.236 0.925
32 Ga 0.000 0.500 0.000
33 Ga 0.338 0.000 0.060
34 Ga 0.452 0.844 0.750
35 Ga 0.344 0.500 0.415
36 Ga 0.548 0.844 0.250

The following is a GGA-PBE calculation of a geometry-optimized Ce25Ni49P33 structure, from the Materials Project database.

Computed properties:
Final energy   -6.67 eV/atom
Crystal system   hexagonal
E_form   -0.964 eV per atom

a = 22.210 Å, b = 22.210 Å, c = 3.909 Å
α = 90.00°, β = 90.00°, γ = 120.00°
Element x y z (fractional)
1 Ni 0.424 0.029 0.500
2 Ni 0.164 0.028 0.000
3 Ni 0.246 0.030 0.500
4 Ni 0.333 0.667 0.000
5 Ni 0.036 0.072 0.000
6 Ni 0.791 0.209 0.500
7 Ni 0.694 0.664 0.000
8 Ni 0.603 0.397 0.500
9 Ni 0.424 0.395 0.500
10 Ni 0.864 0.836 0.000
11 Ni 0.791 0.582 0.500
12 Ni 0.164 0.136 0.000
13 Ni 0.864 0.028 0.000
14 Ni 0.970 0.306 0.000
15 Ni 0.603 0.205 0.500
16 Ni 0.246 0.216 0.500
17 Ni 0.972 0.836 0.000
18 Ni 0.513 0.846 0.000
19 Ni 0.694 0.030 0.000
20 Ni 0.784 0.754 0.500
21 Ni 0.970 0.754 0.500
22 Ni 0.960 0.919 0.500
23 Ni 0.036 0.964 0.000
24 Ni 0.973 0.487 0.000
25 Ni 0.513 0.027 0.000
26 Ni 0.972 0.136 0.000
27 Ni 0.336 0.030 0.000
28 Ni 0.153 0.307 0.000
29 Ni 0.154 0.487 0.000
30 Ni 0.081 0.040 0.500
31 Ni 0.795 0.397 0.500
32 Ni 0.153 0.847 0.000
33 Ni 0.154 0.667 0.000
34 Ni 0.928 0.964 0.000
35 Ni 0.605 0.576 0.500
36 Ni 0.971 0.395 0.500
37 Ni 0.971 0.576 0.500
38 Ni 0.970 0.664 0.000
39 Ni 0.336 0.306 0.000
40 Ni 0.960 0.040 0.500
41 Ni 0.513 0.487 0.000
42 Ni 0.784 0.030 0.500
43 Ni 0.970 0.216 0.500
44 Ni 0.513 0.667 0.000
45 Ni 0.333 0.846 0.000
46 Ni 0.333 0.487 0.000
47 Ni 0.605 0.029 0.500
48 Ni 0.418 0.209 0.500
49 Ni 0.693 0.847 0.000
50 P 0.392 0.428 0.000
51 P 0.214 0.963 0.000
52 P 0.367 0.274 0.500
53 P 0.393 0.607 0.000
54 P 0.903 0.806 0.500
55 P 0.194 0.097 0.500
56 P 0.749 0.963 0.000
57 P 0.392 0.964 0.000
58 P 0.726 0.633 0.500
59 P 0.544 0.089 0.500
60 P 0.367 0.093 0.500
61 P 0.907 0.274 0.500
62 P 0.735 0.265 0.500
63 P 0.572 0.608 0.000
64 P 0.907 0.633 0.500
65 P 0.903 0.097 0.500
66 P 0.213 0.426 0.000
67 P 0.037 0.251 0.000
68 P 0.544 0.456 0.500
69 P 0.726 0.093 0.500
70 P 0.214 0.251 0.000
71 P 0.036 0.608 0.000
72 P 0.393 0.785 0.000
73 P 0.735 0.471 0.500
74 P 0.215 0.607 0.000
75 P 0.574 0.787 0.000
76 P 0.213 0.787 0.000
77 P 0.037 0.786 0.000
78 P 0.572 0.964 0.000
79 P 0.529 0.265 0.500
80 P 0.749 0.786 0.000
81 P 0.911 0.456 0.500
82 P 0.036 0.428 0.000
83 Ce 0.094 0.547 0.500
84 Ce 0.273 0.546 0.500
85 Ce 0.818 0.909 0.500
86 Ce 0.091 0.909 0.500
87 Ce 0.274 0.367 0.500
88 Ce 0.093 0.726 0.500
89 Ce 0.453 0.906 0.500
90 Ce 0.486 0.150 0.000
91 Ce 0.850 0.514 0.000
92 Ce 0.664 0.150 0.000
93 Ce 0.846 0.154 0.000
94 Ce 0.850 0.336 0.000
95 Ce 0.633 0.726 0.500
96 Ce 0.273 0.727 0.500
97 Ce 0.664 0.514 0.000
98 Ce 0.308 0.154 0.000
99 Ce 0.633 0.907 0.500
100 Ce 0.667 0.333 0.500
101 Ce 0.454 0.727 0.500
102 Ce 0.846 0.692 0.000
103 Ce 0.093 0.367 0.500
104 Ce 0.486 0.336 0.000
105 Ce 0.274 0.907 0.500
106 Ce 0.091 0.182 0.500
107 Ce 0.453 0.547 0.500

The following is a GGA-PBE calculation of a geometry-optimized MgZn2 structure, from the Materials Project database.

Computed properties:
Final energy   -1.42 eV/atom
Crystal system   monoclinic
E_form   -0.049 eV per atom

a = 5.021 Å, b = 5.021 Å, c = 5.805 Å
α = 60.67°, β = 60.67°, γ = 57.23°
Element x y z (fractional)
1 Zn 0.418 0.252 0.738
2 Zn 0.582 0.748 0.262
3 Zn 0.252 0.418 0.238
4 Zn 0.748 0.582 0.762
5 Mg 0.085 0.915 0.750
6 Mg 0.915 0.085 0.250

The following is a GGA-PBE calculation of a geometry-optimized TmAlO3 structure, from the Materials Project database.

Computed properties:
Final energy   -7.92 eV/atom
Crystal system   hexagonal
E_form   -3.720 eV per atom

a = 3.431 Å, b = 3.431 Å, c = 11.458 Å
α = 90.00°, β = 90.00°, γ = 120.00°
Element x y z (fractional)
1 Tm 0.000 0.000 0.000
2 Tm 0.000 0.000 0.500
3 O 0.333 0.667 0.090
4 O 0.000 0.000 0.750
5 O 0.667 0.333 0.910
6 O 0.333 0.667 0.410
7 O 0.000 0.000 0.250
8 O 0.667 0.333 0.590
9 Al 0.333 0.667 0.250
10 Al 0.667 0.333 0.750

The following is a GGA-PBE calculation of a geometry-optimized ErTh structure, from the Materials Project database.

Computed properties:
Final energy   -5.97 eV/atom
Crystal system   trigonal
E_form   0.023 eV per atom

a = 6.114 Å, b = 6.114 Å, c = 6.114 Å
α = 33.65°, β = 33.65°, γ = 33.65°
Element x y z (fractional)
1 Th 0.500 0.500 0.500
2 Er 0.000 0.000 0.000

The following is a GGA-PBE calculation of a geometry-optimized Tb2Se3 structure, from the Materials Project database.

Computed properties:
Final energy   -5.82 eV/atom
Crystal system   orthorhombic
E_form   -2.155 eV per atom

a = 4.050 Å, b = 11.024 Å, c = 11.212 Å
α = 90.00°, β = 90.00°, γ = 90.00°
Element x y z (fractional)
1 Se 0.750 0.696 0.273
2 Se 0.750 0.375 0.456
3 Se 0.250 0.196 0.227
4 Se 0.250 0.944 0.381
5 Se 0.750 0.056 0.619
6 Se 0.250 0.556 0.881
7 Se 0.250 0.875 0.044
8 Se 0.750 0.804 0.773
9 Se 0.250 0.625 0.544
10 Se 0.750 0.125 0.956
11 Se 0.250 0.304 0.727
12 Se 0.750 0.444 0.119
13 Tb 0.750 0.687 0.013
14 Tb 0.750 0.499 0.694
15 Tb 0.250 0.501 0.306
16 Tb 0.750 0.813 0.513
17 Tb 0.250 0.999 0.806
18 Tb 0.250 0.313 0.987
19 Tb 0.750 0.001 0.194
20 Tb 0.250 0.187 0.487

The following is a GGA-PBE calculation of a geometry-optimized NaH4C2IN2O2 structure, from the Materials Project database.

Computed properties:
Final energy   -5.55 eV/atom
Crystal system   monoclinic
E_form   -0.546 eV per atom

a = 10.434 Å, b = 4.877 Å, c = 7.624 Å
α = 90.00°, β = 95.75°, γ = 90.00°
Element x y z (fractional)
1 C 0.193 0.788 0.976
2 C 0.807 0.288 0.524
3 C 0.807 0.212 0.024
4 C 0.193 0.712 0.476
5 H 0.649 0.594 0.215
6 H 0.351 0.406 0.785
7 H 0.351 0.094 0.285
8 H 0.338 0.130 0.678
9 H 0.338 0.370 0.178
10 H 0.649 0.906 0.715
11 H 0.662 0.870 0.322
12 H 0.662 0.630 0.822
13 N 0.706 0.310 0.036
14 N 0.294 0.690 0.964
15 N 0.294 0.810 0.464
16 N 0.706 0.190 0.536
17 O 0.599 0.739 0.267
18 O 0.401 0.239 0.233
19 O 0.401 0.261 0.733
20 O 0.599 0.761 0.767
21 I 0.000 0.500 0.500
22 I 0.000 0.000 0.000
23 Na 0.500 0.000 0.000
24 Na 0.500 0.500 0.500

The following is a GGA-PBE calculation of a geometry-optimized Ag9Pb4O12 structure, from the Materials Project database.

Computed properties:
Final energy   -4.48 eV/atom
Crystal system   monoclinic
E_form   -0.821 eV per atom

a = 10.442 Å, b = 8.828 Å, c = 12.007 Å
α = 47.29°, β = 90.00°, γ = 90.00°
Element x y z (fractional)
1 Ag 0.252 0.997 0.378
2 Ag 0.750 0.760 0.995
3 Ag 0.500 0.000 0.748
4 Ag 0.000 0.000 0.248
5 Ag 0.744 0.232 0.260
6 Ag 0.748 0.003 0.622
7 Ag 0.500 0.000 0.252
8 Ag 0.752 0.003 0.122
9 Ag 0.250 0.240 0.505
10 Ag 0.250 0.240 0.005
11 Ag 0.000 0.000 0.752
12 Ag 0.256 0.768 0.740
13 Ag 0.500 0.000 0.000
14 Ag 0.248 0.997 0.878
15 Ag 0.000 0.000 0.500
16 Ag 0.756 0.232 0.760
17 Ag 0.244 0.768 0.240
18 Ag 0.750 0.760 0.495
19 O 0.564 0.308 0.814
20 O 0.439 0.309 0.065
21 O 0.564 0.313 0.311
22 O 0.251 0.307 0.283
23 O 0.936 0.308 0.314
24 O 0.752 0.312 0.529
25 O 0.938 0.691 0.933
26 O 0.562 0.691 0.433
27 O 0.436 0.687 0.689
28 O 0.561 0.691 0.935
29 O 0.061 0.309 0.565
30 O 0.248 0.688 0.471
31 O 0.751 0.693 0.217
32 O 0.748 0.312 0.029
33 O 0.438 0.309 0.567
34 O 0.436 0.692 0.186
35 O 0.749 0.693 0.717
36 O 0.064 0.692 0.686
37 O 0.939 0.691 0.435
38 O 0.252 0.688 0.971
39 O 0.062 0.309 0.067
40 O 0.936 0.313 0.811
41 O 0.064 0.687 0.189
42 O 0.249 0.307 0.783
43 Pb 0.584 0.495 0.376
44 Pb 0.916 0.495 0.876
45 Pb 0.419 0.494 0.131
46 Pb 0.081 0.494 0.631
47 Pb 0.416 0.505 0.624
48 Pb 0.919 0.506 0.369
49 Pb 0.084 0.505 0.124
50 Pb 0.581 0.506 0.869

The following is a GGA-PBE calculation of a geometry-optimized GaFe3 structure, from the Materials Project database.

Computed properties:
Final energy   -7.23 eV/atom
Crystal system   hexagonal
E_form   -0.120 eV per atom

a = 5.164 Å, b = 5.164 Å, c = 4.183 Å
α = 90.00°, β = 90.00°, γ = 120.00°
Element x y z (fractional)
1 Ga 0.333 0.667 0.250
2 Ga 0.667 0.333 0.750
3 Fe 0.319 0.159 0.250
4 Fe 0.159 0.319 0.750
5 Fe 0.159 0.841 0.750
6 Fe 0.841 0.159 0.250
7 Fe 0.681 0.841 0.750
8 Fe 0.841 0.681 0.250

The following is a GGA-PBE calculation of a geometry-optimized Eu3Sb4Se9 structure, from the Materials Project database.

Computed properties:
Final energy   -5.84 eV/atom
Crystal system   orthorhombic
E_form   -1.182 eV per atom

a = 4.204 Å, b = 17.315 Å, c = 25.302 Å
α = 90.00°, β = 90.00°, γ = 90.00°
Element x y z (fractional)
1 Se 0.750 0.635 0.196
2 Se 0.750 0.563 0.431
3 Se 0.250 0.947 0.361
4 Se 0.750 0.958 0.801
5 Se 0.250 0.751 0.408
6 Se 0.250 0.941 0.536
7 Se 0.750 0.249 0.592
8 Se 0.250 0.296 0.223
9 Se 0.250 0.042 0.199
10 Se 0.250 0.137 0.847
11 Se 0.250 0.437 0.569
12 Se 0.250 0.637 0.653
13 Se 0.250 0.542 0.301
14 Se 0.750 0.553 0.861
15 Se 0.750 0.053 0.639
16 Se 0.250 0.752 0.035
17 Se 0.750 0.363 0.347
18 Se 0.250 0.251 0.092
19 Se 0.750 0.135 0.304
20 Se 0.750 0.559 0.036
21 Se 0.250 0.252 0.465
22 Se 0.750 0.063 0.069
23 Se 0.750 0.749 0.908
24 Se 0.250 0.865 0.696
25 Se 0.250 0.365 0.804
26 Se 0.750 0.204 0.723
27 Se 0.750 0.458 0.699
28 Se 0.750 0.248 0.965
29 Se 0.250 0.447 0.139
30 Se 0.250 0.441 0.964
31 Se 0.250 0.937 0.931
32 Se 0.750 0.704 0.777
33 Se 0.750 0.059 0.464
34 Se 0.750 0.748 0.535
35 Se 0.250 0.796 0.277
36 Se 0.750 0.863 0.153
37 Eu 0.250 0.558 0.765
38 Eu 0.750 0.673 0.326
39 Eu 0.750 0.942 0.265
40 Eu 0.250 0.058 0.735
41 Eu 0.750 0.377 0.055
42 Eu 0.750 0.173 0.174
43 Eu 0.750 0.877 0.445
44 Eu 0.250 0.623 0.945
45 Eu 0.750 0.442 0.235
46 Eu 0.250 0.123 0.555
47 Eu 0.250 0.827 0.826
48 Eu 0.250 0.327 0.674
49 Sb 0.750 0.332 0.506
50 Sb 0.750 0.746 0.678
51 Sb 0.250 0.668 0.494
52 Sb 0.250 0.254 0.322
53 Sb 0.250 0.472 0.393
54 Sb 0.750 0.028 0.893
55 Sb 0.250 0.168 0.006
56 Sb 0.750 0.909 0.607
57 Sb 0.250 0.972 0.107
58 Sb 0.250 0.091 0.393
59 Sb 0.250 0.754 0.178
60 Sb 0.750 0.246 0.822
61 Sb 0.750 0.409 0.893
62 Sb 0.750 0.832 0.994
63 Sb 0.750 0.528 0.607
64 Sb 0.250 0.591 0.107